This record from the Materials Project database describes a relaxed Ti2SiS2O12 crystal. The functional is PBE.

abc: 15.0399 8.6842 22.3834
angles: 90.00 90.00 90.00
Last column: nearest neighbours and their distance in Å.
Space group Cc (No. 9)
Symmetry-distinct sites (fractional):
Ti (0.0000, 0.0011, 0.0000) (multiplicity 4)  5 O 1.85-2.05
Ti (0.1692, 0.4833, 0.5453) (multiplicity 4)  2 O 1.79
Ti (0.1748, 0.4979, 0.8335) (multiplicity 4)  2 O 1.78-1.79
Ti (0.3256, 0.0160, 0.6666) (multiplicity 4)  2 O 1.78-1.79
Ti (0.3335, 0.0030, 0.8786) (multiplicity 4)  5 O 1.85-2.03
Ti (0.4979, 0.4943, 0.2121) (multiplicity 4)  5 O 1.85-2.05
Si (0.1393, 0.1416, 0.6060) (multiplicity 4)  4 O 1.62-1.64
Si (0.3114, 0.3529, 0.4393) (multiplicity 4)  4 O 1.62-1.65
Si (0.3335, 0.2890, 0.7735) (multiplicity 4)  4 O 1.62-1.65
S (0.0210, 0.3563, 0.4391) (multiplicity 4)  4 O 1.47-1.49
S (0.1644, 0.2130, 0.9395) (multiplicity 4)  4 O 1.47-1.49
S (0.1870, 0.1436, 0.2727) (multiplicity 4)  4 O 1.47-1.49
S (0.3541, 0.3545, 0.1059) (multiplicity 4)  4 O 1.47-1.49
S (0.4749, 0.1417, 0.2724) (multiplicity 4)  4 O 1.47-1.50
S (0.4987, 0.2125, 0.6060) (multiplicity 4)  4 O 1.47-1.49
O (0.0097, 0.1882, 0.4479) (multiplicity 4)  1 S 1.48
O (0.0127, 0.1910, 0.1595) (multiplicity 4)  1 S 1.48
O (0.0599, 0.4295, 0.4932) (multiplicity 4)  1 S 1.49
O (0.0633, 0.4265, 0.7823) (multiplicity 4)  1 S 1.47
O (0.0754, 0.3811, 0.3856) (multiplicity 4)  1 S 1.47
O (0.0777, 0.1098, 0.6642) (multiplicity 4)  1 Si 1.62
O (0.0777, 0.3847, 0.0966) (multiplicity 4)  1 S 1.47
O (0.0844, 0.1141, 0.9470) (multiplicity 4)  1 S 1.49
O (0.0925, 0.0654, 0.5478) (multiplicity 4)  1 Si 1.62
O (0.0978, 0.0745, 0.2643) (multiplicity 4)  1 S 1.48
O (0.1473, 0.3081, 0.8855) (multiplicity 4)  1 S 1.49
O (0.1504, 0.3278, 0.5960) (multiplicity 4)  1 Si 1.64, 1 Ti 1.79
O (0.1752, 0.3122, 0.2810) (multiplicity 4)  1 S 1.49
O (0.1793, 0.3075, 0.9931) (multiplicity 4)  1 S 1.47
O (0.2270, 0.0723, 0.3260) (multiplicity 4)  1 S 1.47
O (0.2379, 0.0652, 0.6160) (multiplicity 4)  1 Si 1.64, 1 Ti 1.79
O (0.2429, 0.1123, 0.9307) (multiplicity 4)  1 S 1.48
O (0.2434, 0.1224, 0.2190) (multiplicity 4)  1 S 1.48
O (0.2432, 0.3928, 0.7828) (multiplicity 4)  1 Si 1.64, 1 Ti 1.78
O (0.2455, 0.3877, 0.4965) (multiplicity 4)  1 Si 1.65, 1 Ti 1.79
O (0.2609, 0.4342, 0.3820) (multiplicity 4)  1 Si 1.65, 1 Ti 1.79
O (0.2640, 0.4231, 0.0974) (multiplicity 4)  1 S 1.49
O (0.3155, 0.1777, 0.7153) (multiplicity 4)  1 Si 1.65, 1 Ti 1.78
O (0.3191, 0.1700, 0.4261) (multiplicity 4)  1 Si 1.62
O (0.3452, 0.1874, 0.1153) (multiplicity 4)  1 S 1.47
O (0.3459, 0.1757, 0.8307) (multiplicity 4)  1 Si 1.63
O (0.3929, 0.4298, 0.1596) (multiplicity 4)  1 S 1.49
O (0.4067, 0.4324, 0.4524) (multiplicity 4)  1 Si 1.62
O (0.4096, 0.3817, 0.0526) (multiplicity 4)  1 S 1.48
O (0.4182, 0.1205, 0.3265) (multiplicity 4)  1 S 1.49
O (0.4182, 0.3980, 0.7597) (multiplicity 4)  1 Si 1.62
O (0.4193, 0.1113, 0.6145) (multiplicity 4)  1 S 1.49
O (0.4313, 0.0733, 0.9317) (multiplicity 4)  1 S 1.49
O (0.4338, 0.0742, 0.2188) (multiplicity 4)  1 S 1.47
O (0.4803, 0.3080, 0.5523) (multiplicity 4)  1 S 1.49
O (0.4835, 0.3122, 0.2648) (multiplicity 4)  1 S 1.50

Results
Total moment (μB/atom): 0.000
Energy (eV/atom): -7.388

This record from the Materials Project database describes a relaxed DyCu2 crystal. The functional is PBE.

abc: 4.3092 6.7950 7.2403
angles: 90.00 90.00 90.00
Last column: nearest neighbours and their distance in Å.
Space group Imma (No. 74)
Symmetry-distinct sites (fractional):
Dy (0.0000, 0.2500, 0.0415) (multiplicity 4)  12 Cu 2.94-3.10
Cu (0.0000, 0.0499, 0.6654) (multiplicity 8)  4 Cu 2.48-2.72

Results
Energy (eV/atom): -4.538

This record from the Materials Project database describes a relaxed Nd3AlFeS7 crystal. The functional is PBE.

abc: 9.8154 9.8154 6.2441
angles: 90.00 90.00 120.00
Last column: nearest neighbours and their distance in Å.
Space group P6_3 (No. 173)
Symmetry-distinct sites (fractional):
Nd (0.1537, 0.7803, 0.0000) (multiplicity 6)  7 S 2.82-3.05
Al (0.3333, 0.6667, 0.5737) (multiplicity 2)  4 S 2.24-2.26
Fe (0.0000, 0.0000, 0.1569) (multiplicity 2)  6 S 2.37-2.39
S (0.0882, 0.8778, 0.4043) (multiplicity 6)  2 Fe 2.37-2.39
S (0.0911, 0.5212, 0.7187) (multiplicity 6)  1 Al 2.26
S (0.3333, 0.6667, 0.2150) (multiplicity 2)  1 Al 2.24

Results
Total moment (μB/atom): 0.000
Energy (eV/atom): -6.184

This record from the Materials Project database describes a relaxed Hf3Si crystal. The functional is PBE.

abc: 6.0650 6.0650 4.8897
angles: 90.00 90.00 120.00
Last column: nearest neighbours and their distance in Å.
Space group P6_3/mmc (No. 194)
Symmetry-distinct sites (fractional):
Hf (0.1708, 0.3417, 0.2500) (multiplicity 6)  8 Hf 2.96-3.11, 4 Si 2.98-3.03
Si (0.3333, 0.6667, 0.7500) (multiplicity 2)  12 Hf 2.98-3.03

Results
Total moment (μB/atom): 0.000
Energy (eV/atom): -9.085

This record from the Materials Project database describes a relaxed ScCuSn crystal. The functional is PBE.

abc: 4.4175 4.4175 6.8695
angles: 90.00 90.00 120.00
Last column: nearest neighbours and their distance in Å.
Space group P6_3mc (No. 186)
Symmetry-distinct sites (fractional):
Sc (0.0000, 0.0000, 0.0000) (multiplicity 2)  3 Cu 2.81, 3 Sn 3.01
Cu (0.3333, 0.6667, 0.3297) (multiplicity 2)  4 Sn 2.64-2.76, 3 Sc 2.81
Sn (0.3333, 0.6667, 0.7315) (multiplicity 2)  4 Cu 2.64-2.76

Results
Energy (eV/atom): -5.355

This record from the Materials Project database describes a relaxed Rb2Cd5As4 crystal. The functional is PBE.

abc: 12.6636 7.7830 12.7481
angles: 90.00 90.00 90.00
Last column: nearest neighbours and their distance in Å.
Space group Cmcm (No. 63)
Symmetry-distinct sites (fractional):
Rb (0.2087, 0.0000, 0.0000) (multiplicity 8)  4 As 3.63-3.78, 4 Cd 3.79-4.03, 2 Rb 4.03
Cd (0.0000, 0.0069, 0.2500) (multiplicity 4)  4 As 2.79-2.84
Cd (0.0000, 0.3497, 0.6060) (multiplicity 8)  4 As 2.69-2.92
Cd (0.1466, 0.3809, 0.2500) (multiplicity 8)  4 As 2.69-2.90
As (0.0000, 0.2758, 0.0998) (multiplicity 8)  5 Cd 2.69-2.92
As (0.1558, 0.2470, 0.7500) (multiplicity 8)  5 Cd 2.69-2.90

Results
Total moment (μB/atom): 0.000
Energy (eV/atom): -2.578

This record from the Materials Project database describes a relaxed Al9Co2Ni crystal. The functional is PBE.

abc: 7.5352 12.0297 15.4243
angles: 90.00 90.00 90.00
Last column: nearest neighbours and their distance in Å.
Space group Immm (No. 71)
Symmetry-distinct sites (fractional):
Al (0.0000, 0.0000, 0.0000) (multiplicity 2)  2 Co 2.37
Al (0.0000, 0.0000, 0.2436) (multiplicity 4)  2 Ni 2.32
Al (0.0000, 0.0000, 0.5000) (multiplicity 2)  4 Al 2.50, 4 Co 2.55
Al (0.0000, 0.1734, 0.3715) (multiplicity 8)  1 Ni 2.48, 2 Co 2.52, 1 Al 2.75
Al (0.0000, 0.3318, 0.5000) (multiplicity 4)  4 Co 2.46-2.50, 6 Al 2.65-2.75
Al (0.0000, 0.3374, 0.0867) (multiplicity 8)  3 Co 2.59-2.61, 1 Ni 2.63, 7 Al 2.64-2.83
Al (0.0000, 0.5000, 0.3642) (multiplicity 4)  3 Co 2.52-2.55
Al (0.1874, 0.3541, 0.2455) (multiplicity 16)  1 Co 2.37, 2 Ni 2.50
Al (0.2001, 0.1548, 0.0894) (multiplicity 16)  1 Ni 2.45, 2 Co 2.47-2.63, 3 Al 2.65-2.69
Al (0.2349, 0.5000, 0.0979) (multiplicity 8)  3 Co 2.35-2.57, 1 Al 2.50
Co (0.0000, 0.5000, 0.1985) (multiplicity 4)  9 Al 2.35-2.61
Co (0.1853, 0.5000, 0.5000) (multiplicity 4)  9 Al 2.37-2.52
Co (0.2055, 0.1688, 0.5000) (multiplicity 8)  10 Al 2.50-2.63
Ni (0.0000, 0.1885, 0.2115) (multiplicity 8)  8 Al 2.32-2.50

Results
Total moment (μB/atom): 0.000
Energy (eV/atom): -4.875

This record from the Materials Project database describes a relaxed TbCo12B6 crystal. The functional is PBE.

abc: 9.3909 9.3909 7.4178
angles: 90.00 90.00 120.00
Last column: nearest neighbours and their distance in Å.
Space group R-3m (No. 166, hexagonal axes)
Symmetry-distinct sites (fractional):
Tb (0.0000, 0.0000, 0.0000) (multiplicity 3)  6 B 3.04, 18 Co 3.09-3.23
Co (0.0000, 0.3676, 0.5000) (multiplicity 18)  4 B 2.03-2.04
Co (0.0901, 0.1803, 0.3662) (multiplicity 18)  3 B 2.10
B (0.0379, 0.5189, 0.2861) (multiplicity 18)  7 Co 2.03-2.10

Results
Energy (eV/atom): -7.192

This record from the Materials Project database describes a relaxed TbBi3O6 crystal. The functional is PBE.

abc: 11.0950 11.0950 11.0950
angles: 90.00 90.00 90.00
Last column: nearest neighbours and their distance in Å.
Space group I2_13 (No. 199)
Symmetry-distinct sites (fractional):
Tb (0.2484, 0.2484, 0.2484) (multiplicity 8)  6 O 2.32-2.34
Bi (0.0000, 0.2500, 0.4693) (multiplicity 12)  6 O 2.36-2.47
Bi (0.0000, 0.2500, 0.9666) (multiplicity 12)  6 O 2.35-2.48
O (0.1106, 0.3439, 0.1208) (multiplicity 24)  1 Tb 2.34, 3 Bi 2.35-2.47
O (0.1121, 0.1579, 0.6247) (multiplicity 24)  1 Tb 2.32, 3 Bi 2.36-2.48

Results
Total moment (μB/atom): 0.000
Energy (eV/atom): -6.377

This record from the Materials Project database describes a relaxed RbHgSbSe3 crystal. The functional is PBE.

abc: 8.0673 11.5259 9.1086
angles: 90.00 106.18 90.00
Last column: nearest neighbours and their distance in Å.
Space group P2_1/c (No. 14)
Symmetry-distinct sites (fractional):
Rb (0.0196, 0.2463, 0.3804) (multiplicity 4)  8 Se 3.57-3.99
Hg (0.4110, 0.7493, 0.4780) (multiplicity 4)  4 Se 2.67-2.84
Sb (0.4438, 0.9998, 0.7353) (multiplicity 4)  3 Se 2.64-2.66
Se (0.2354, 0.5512, 0.4042) (multiplicity 4)  1 Sb 2.64, 1 Hg 2.67
Se (0.2378, 0.5518, 0.9636) (multiplicity 4)  1 Sb 2.64, 1 Hg 2.67
Se (0.3728, 0.2257, 0.7186) (multiplicity 4)  1 Sb 2.66, 2 Hg 2.84

Results
Energy (eV/atom): -3.182

This record from the Materials Project database describes a relaxed MgAg14Pb6O18 crystal. The functional is PBE.

abc: 8.8974 9.0947 9.0953
angles: 70.90 72.02 71.42
Last column: nearest neighbours and their distance in Å.
Space group P1 (No. 1)
Symmetry-distinct sites (fractional):
Mg (0.0000, 0.0000, 0.0000) (multiplicity 1)  3 O 1.96-1.97
Ag (0.0927, 0.7243, 0.9050) (multiplicity 1)  2 O 2.14-2.20
Ag (0.0947, 0.2663, 0.4225) (multiplicity 1)  2 O 2.12-2.14
Ag (0.1895, 0.8246, 0.5060) (multiplicity 1)  3 O 2.31-2.36
Ag (0.2805, 0.4313, 0.0755) (multiplicity 1)  2 O 2.10-2.11
Ag (0.3369, 0.0070, 0.6463) (multiplicity 1)  3 O 2.27-2.38
Ag (0.4271, 0.5897, 0.7337) (multiplicity 1)  2 O 2.16
Ag (0.5105, 0.1817, 0.8239) (multiplicity 1)  3 O 2.27-2.38
Ag (0.5843, 0.7583, 0.4057) (multiplicity 1)  2 O 2.15-2.16
Ag (0.6811, 0.3322, 0.9792) (multiplicity 1)  3 O 2.29-2.37
Ag (0.6963, 0.9456, 0.0767) (multiplicity 1)  3 O 2.24-2.35
Ag (0.7553, 0.4255, 0.5679) (multiplicity 1)  2 O 2.15-2.16
Ag (0.8476, 0.5169, 0.1646) (multiplicity 1)  3 O 2.31-2.34
Ag (0.9188, 0.0843, 0.7143) (multiplicity 1)  2 O 2.14-2.18
Ag (0.9961, 0.6714, 0.3240) (multiplicity 1)  3 O 2.32-2.37
Pb (0.0916, 0.4122, 0.7438) (multiplicity 1)  6 O 2.32-2.38
Pb (0.1588, 0.1236, 0.1339) (multiplicity 1)  3 O 2.26-2.31
Pb (0.4267, 0.7529, 0.0695) (multiplicity 1)  6 O 2.25-2.31
Pb (0.4314, 0.4198, 0.4088) (multiplicity 1)  6 O 2.21-2.29
Pb (0.7506, 0.0882, 0.4049) (multiplicity 1)  6 O 2.21-2.37
Pb (0.7522, 0.7516, 0.7377) (multiplicity 1)  6 O 2.25-2.31
O (0.0228, 0.0727, 0.3997) (multiplicity 1)  2 Ag 2.14-2.36, 2 Pb 2.31-2.37
O (0.0226, 0.6858, 0.7182) (multiplicity 1)  2 Ag 2.14-2.31, 2 Pb 2.25-2.32
O (0.0900, 0.3925, 0.0114) (multiplicity 1)  2 Ag 2.11-2.34, 1 Pb 2.30
O (0.0933, 0.1399, 0.7986) (multiplicity 1)  1 Mg 1.97, 1 Ag 2.18
O (0.1530, 0.8001, 0.0819) (multiplicity 1)  1 Mg 1.97, 1 Ag 2.20
O (0.1595, 0.4502, 0.4668) (multiplicity 1)  2 Ag 2.12-2.33, 2 Pb 2.26-2.34
O (0.3713, 0.4053, 0.6740) (multiplicity 1)  2 Ag 2.16-2.27, 2 Pb 2.27-2.36
O (0.4068, 0.6907, 0.3407) (multiplicity 1)  2 Ag 2.16-2.32, 2 Pb 2.29-2.31
O (0.4245, 0.0042, 0.0581) (multiplicity 1)  2 Pb 2.25-2.26, 2 Ag 2.29-2.35
O (0.4628, 0.4830, 0.1391) (multiplicity 1)  1 Ag 2.10, 2 Pb 2.27-2.28
O (0.4790, 0.7707, 0.8026) (multiplicity 1)  2 Ag 2.16-2.37, 2 Pb 2.28-2.29
O (0.4837, 0.1592, 0.4359) (multiplicity 1)  2 Pb 2.21, 1 Ag 2.27
O (0.6985, 0.7296, 0.0043) (multiplicity 1)  2 Ag 2.26-2.31, 2 Pb 2.26-2.28
O (0.7046, 0.3590, 0.3843) (multiplicity 1)  2 Ag 2.16-2.32, 2 Pb 2.27-2.32
O (0.7278, 0.0186, 0.6736) (multiplicity 1)  2 Ag 2.14-2.38, 2 Pb 2.26-2.28
O (0.7683, 0.8194, 0.4667) (multiplicity 1)  2 Ag 2.15-2.32, 2 Pb 2.29-2.31
O (0.8067, 0.0984, 0.1417) (multiplicity 1)  1 Mg 1.96
O (0.8130, 0.4842, 0.7518) (multiplicity 1)  2 Ag 2.15-2.29, 2 Pb 2.29-2.34

Results
Total moment (μB/atom): 0.000
Energy (eV/atom): -4.427
E above lowest polymorph (meV/atom): 51

For each record above, in turn, the calculated theoretical density values are 2.6; 9.1; 4.7; 12.0; 6.5; 5.5; 4.0; 8.2; 8.6; 5.3; 7.9 g cm⁻³.
For each record above, in turn, the calculated ΔH_f (0 K) values are -2.646; -0.270; -1.855; -0.243; -0.541; -0.286; -0.399; -0.350; -2.190; -0.768; -0.831 eV/atom.